(1)
Density functional theory data (PBE+U) for an optimized crystal structure of Ca8TiMn7O22.

Cell: 10.8766 15.5423 10.8575 Å, 89.83 90.99 90.22°
Element x y z (fractional)
Ca (0.9984, 0.1076, 0.5074)
Ca (0.9875, 0.1158, 0.0130)
Ca (0.0195, 0.6275, 0.5008)
Ca (0.0180, 0.6261, 0.9952)
Ca (0.5417, 0.1273, 0.4801)
Ca (0.5465, 0.1242, 0.9865)
Ca (0.5219, 0.6250, 0.5007)
Ca (0.5229, 0.6241, 0.9986)
Ca (0.4970, 0.3912, 0.9995)
Ca (0.4928, 0.3932, 0.4998)
Ca (0.4951, 0.8576, 0.0032)
Ca (0.4957, 0.8571, 0.4959)
Ca (0.9662, 0.3873, 0.9994)
Ca (0.9662, 0.3904, 0.5054)
Ca (0.9682, 0.8669, 0.0043)
Ca (0.9689, 0.8707, 0.5153)
Ca (0.2331, 0.3944, 0.2588)
Ca (0.2353, 0.3991, 0.7600)
Ca (0.2294, 0.8628, 0.2597)
Ca (0.2273, 0.8702, 0.7473)
Ca (0.7339, 0.3877, 0.2501)
Ca (0.7316, 0.3883, 0.7543)
Ca (0.7305, 0.8638, 0.2485)
Ca (0.7376, 0.8614, 0.7502)
Ca (0.2260, 0.1201, 0.2439)
Ca (0.2215, 0.1114, 0.7228)
Ca (0.2711, 0.6274, 0.2616)
Ca (0.2692, 0.6285, 0.7582)
Ca (0.7770, 0.1167, 0.2509)
Ca (0.7817, 0.1235, 0.7539)
Ca (0.7691, 0.6255, 0.2568)
Ca (0.7711, 0.6246, 0.7563)
Ti (0.9903, 0.9870, 0.2612)
Ti (0.2302, 0.9934, 0.0118)
Ti (0.2648, 0.2328, 0.9348)
Ti (0.9889, 0.2559, 0.2742)
Mn (0.9923, 0.9947, 0.7548)
Mn (0.0008, 0.5033, 0.2526)
Mn (0.0008, 0.5031, 0.7512)
Mn (0.5035, 0.9930, 0.2341)
Mn (0.5071, 0.9863, 0.7352)
Mn (0.4978, 0.5041, 0.2517)
Mn (0.4984, 0.5040, 0.7533)
Mn (0.2432, 0.9962, 0.5054)
Mn (0.2499, 0.5073, 0.0083)
Mn (0.2510, 0.5027, 0.5047)
Mn (0.7455, 0.9959, 0.9923)
Mn (0.7416, 0.9981, 0.4988)
Mn (0.7499, 0.5036, 0.0045)
Mn (0.7487, 0.5040, 0.5028)
Mn (0.2664, 0.2449, 0.4533)
Mn (0.2505, 0.7497, 0.0062)
Mn (0.2520, 0.7496, 0.5061)
Mn (0.7563, 0.2508, 0.0040)
Mn (0.7493, 0.2523, 0.5062)
Mn (0.7507, 0.7459, 0.0021)
Mn (0.7503, 0.7469, 0.5023)
Mn (0.9906, 0.2570, 0.7552)
Mn (0.0006, 0.7460, 0.2527)
Mn (0.0029, 0.7488, 0.7534)
Mn (0.5222, 0.2553, 0.2531)
Mn (0.5155, 0.2532, 0.7518)
Mn (0.4993, 0.7463, 0.2529)
Mn (0.4993, 0.7462, 0.7543)
O (0.1087, 0.7764, 0.1077)
O (0.1085, 0.7739, 0.6067)
O (0.5867, 0.2582, 0.0931)
O (0.5787, 0.2574, 0.5822)
O (0.6105, 0.7634, 0.1126)
O (0.6088, 0.7653, 0.6142)
O (0.4048, 0.1949, 0.3450)
O (0.3950, 0.1787, 0.8533)
O (0.3959, 0.7288, 0.3996)
O (0.3969, 0.7293, 0.9019)
O (0.9226, 0.2396, 0.4264)
O (0.9121, 0.2399, 0.9211)
O (0.8951, 0.7284, 0.3941)
O (0.8953, 0.7302, 0.8955)
O (0.1620, 0.2535, 0.2920)
O (0.1713, 0.2495, 0.7933)
O (0.1489, 0.7334, 0.3553)
O (0.1495, 0.7344, 0.8562)
O (0.6646, 0.2239, 0.3462)
O (0.6593, 0.2255, 0.8580)
O (0.6429, 0.7279, 0.3588)
O (0.6445, 0.7258, 0.8587)
O (0.3568, 0.7732, 0.1468)
O (0.3567, 0.7714, 0.6500)
O (0.8585, 0.2712, 0.1573)
O (0.8417, 0.2763, 0.6575)
O (0.8589, 0.7698, 0.1451)
O (0.8601, 0.7688, 0.6438)
O (0.3570, 0.4825, 0.1458)
O (0.3568, 0.4855, 0.6460)
O (0.3539, 0.0229, 0.1331)
O (0.3485, 0.9968, 0.6612)
O (0.8591, 0.4812, 0.1458)
O (0.8576, 0.4817, 0.6454)
O (0.8541, 0.9795, 0.1463)
O (0.8447, 0.9778, 0.6478)
O (0.1481, 0.0065, 0.3544)
O (0.1463, 0.0223, 0.8659)
O (0.1481, 0.5193, 0.3555)
O (0.1477, 0.5183, 0.8583)
O (0.6353, 0.0281, 0.3483)
O (0.6324, 0.0294, 0.8424)
O (0.6430, 0.5200, 0.3580)
O (0.6425, 0.5196, 0.8598)
O (0.3949, 0.5202, 0.3982)
O (0.3925, 0.5157, 0.8991)
O (0.8882, 0.0111, 0.3953)
O (0.8902, 0.0162, 0.8940)
O (0.8967, 0.5206, 0.3964)
O (0.8949, 0.5174, 0.8960)
O (0.1085, 0.4744, 0.1077)
O (0.1089, 0.4780, 0.6076)
O (0.1014, 0.9762, 0.1108)
O (0.0959, 0.9842, 0.6160)
O (0.6092, 0.4847, 0.1142)
O (0.6083, 0.4854, 0.6138)
O (0.5975, 0.9885, 0.0812)
O (0.5856, 0.9918, 0.5792)
O (0.0044, 0.3803, 0.2901)
O (0.0138, 0.3787, 0.7860)
O (0.0033, 0.8699, 0.2934)
O (0.0077, 0.8717, 0.7922)
O (0.4969, 0.3763, 0.2823)
O (0.4952, 0.3773, 0.7812)
O (0.5050, 0.8708, 0.2817)
O (0.5124, 0.8712, 0.7921)
O (0.4862, 0.6247, 0.2118)
O (0.4860, 0.6261, 0.7146)
O (0.9965, 0.1276, 0.2322)
O (0.9965, 0.1342, 0.7161)
O (0.9930, 0.6253, 0.2094)
O (0.9943, 0.6247, 0.7154)
O (0.2007, 0.1523, 0.0369)
O (0.2290, 0.1274, 0.5149)
O (0.2353, 0.6313, 0.0446)
O (0.2370, 0.6274, 0.5419)
O (0.7561, 0.1254, 0.0384)
O (0.7524, 0.1249, 0.5379)
O (0.7457, 0.6239, 0.0409)
O (0.7433, 0.6251, 0.5406)
O (0.2732, 0.3681, 0.4788)
O (0.2896, 0.3398, 0.9915)
O (0.2805, 0.8801, 0.4675)
O (0.2780, 0.8863, 0.9660)
O (0.7489, 0.3773, 0.4658)
O (0.7483, 0.3762, 0.9707)
O (0.7458, 0.8731, 0.4646)
O (0.7492, 0.8715, 0.9644)

Calculated values
excess energy over the best structure of this formula in the dataset	0.000	eV per atom
DFT formation energy	-2652	meV per atom
space group	No. 1
M_tot	0.658	μB/atom



(2)
Density functional theory data (PBE+U) for an optimized crystal structure of Na3V24O58.

Cell: 7.3599 10.3920 14.6059 Å, 102.10 97.24 89.98°
Element x y z (fractional)
Na (0.0004, 0.6284, 0.9904)
Na (0.1288, 0.5470, 0.5133)
Na (0.5037, 0.3720, 0.0109)
V (0.2084, 0.1401, 0.8259)
V (0.7068, 0.1416, 0.8285)
V (0.4696, 0.9191, 0.8760)
V (0.9674, 0.9150, 0.8703)
V (0.1941, 0.4609, 0.7786)
V (0.6958, 0.4644, 0.7810)
V (0.4288, 0.6622, 0.7092)
V (0.9258, 0.6646, 0.7098)
V (0.1510, 0.2098, 0.6045)
V (0.6520, 0.2113, 0.6102)
V (0.4127, 0.9751, 0.6451)
V (0.9099, 0.9758, 0.6415)
V (0.0893, 0.0246, 0.3572)
V (0.5892, 0.0284, 0.3561)
V (0.3483, 0.7882, 0.3922)
V (0.8478, 0.7936, 0.3934)
V (0.0722, 0.3312, 0.2873)
V (0.5733, 0.3411, 0.2953)
V (0.3045, 0.5367, 0.2199)
V (0.8055, 0.5358, 0.2200)
V (0.0311, 0.0814, 0.1198)
V (0.5295, 0.0756, 0.1235)
V (0.2922, 0.8570, 0.1723)
V (0.7960, 0.8610, 0.1754)
O (0.2400, 0.2361, 0.9297)
O (0.7212, 0.2409, 0.9320)
O (0.0005, 0.0026, 0.0016)
O (0.5000, 0.0003, 0.0021)
O (0.2214, 0.4978, 0.8931)
O (0.7262, 0.4988, 0.8953)
O (0.4421, 0.0986, 0.7968)
O (0.9574, 0.0909, 0.7986)
O (0.4693, 0.7627, 0.8785)
O (0.9699, 0.7560, 0.8749)
O (0.2231, 0.9656, 0.8604)
O (0.7066, 0.9636, 0.8603)
O (0.1866, 0.2797, 0.7525)
O (0.6885, 0.2828, 0.7490)
O (0.4384, 0.4875, 0.7517)
O (0.9376, 0.4881, 0.7520)
O (0.1726, 0.0232, 0.6621)
O (0.6606, 0.0165, 0.6700)
O (0.1855, 0.6334, 0.7349)
O (0.6833, 0.6364, 0.7402)
O (0.4269, 0.8437, 0.7211)
O (0.9321, 0.8408, 0.7216)
O (0.4125, 0.1553, 0.6116)
O (0.8932, 0.1551, 0.6123)
O (0.1500, 0.3665, 0.5983)
O (0.6476, 0.3589, 0.5917)
O (0.4064, 0.6172, 0.5957)
O (0.8929, 0.6168, 0.5961)
O (0.1178, 0.1190, 0.4687)
O (0.6161, 0.1178, 0.4669)
O (0.3855, 0.8825, 0.5354)
O (0.8827, 0.8804, 0.5301)
O (0.6026, 0.3879, 0.4078)
O (0.0993, 0.3734, 0.4011)
O (0.3392, 0.6364, 0.4076)
O (0.8603, 0.6419, 0.4065)
O (0.0887, 0.8453, 0.3870)
O (0.6046, 0.8429, 0.3878)
O (0.0696, 0.1562, 0.2748)
O (0.5696, 0.1577, 0.2832)
O (0.3171, 0.3644, 0.2620)
O (0.8136, 0.3641, 0.2611)
O (0.3429, 0.9752, 0.3343)
O (0.8247, 0.9820, 0.3343)
O (0.0597, 0.5117, 0.2471)
O (0.5644, 0.5129, 0.2504)
O (0.3133, 0.7155, 0.2487)
O (0.8111, 0.7210, 0.2498)
O (0.7851, 0.0370, 0.1423)
O (0.2867, 0.0381, 0.1430)
O (0.0301, 0.2394, 0.1198)
O (0.5307, 0.2345, 0.1234)
O (0.5558, 0.9055, 0.1971)
O (0.0446, 0.9054, 0.2054)
O (0.2808, 0.4999, 0.1054)
O (0.7725, 0.5024, 0.1056)
O (0.7798, 0.7645, 0.0718)
O (0.2537, 0.7609, 0.0677)

Calculated values
DFT formation energy	-2336	meV per atom
space group	No. 1
M_tot	0.082	μB/atom



Number 1: electronic total energy -7.129 eV/atom. Number 2: electronic total energy -7.375 eV/atom.